The following is a DFT calculation (PBE) of crystalline Gd2HfO5 at its relaxed geometry.

Output
Space-group type   No. 63
V   259.92 Å³ per cell
Theoretical density   7.3 Mg/m³
Total energy   -11.37 eV per atom
Relative energy among the computed polymorphs   0 meV per atom

```
Gd2HfO5
1.0
2.074 -5.711 0.000
2.074 5.711 0.000
0.000 0.000 10.973
Hf O Gd
2 10 4
direct
0.177 0.823 0.750
0.823 0.177 0.250
0.950 0.050 0.120
0.950 0.050 0.380
0.050 0.950 0.620
0.290 0.710 0.909
0.710 0.290 0.409
0.290 0.710 0.591
0.050 0.950 0.880
0.710 0.290 0.091
0.270 0.730 0.250
0.730 0.270 0.750
0.861 0.139 0.933
0.139 0.861 0.433
0.139 0.861 0.067
0.861 0.139 0.567
```

***

The following is a DFT calculation (PBE) of crystalline CaTlF3 at its relaxed geometry.

Output
Space-group type   No. 161
Maximum piezoelectric response   2.169 C/m2
V   184.22 Å³ per cell
Theoretical density   5.4 Mg/m³
Total energy   -5.05 eV per atom
Relative energy among the computed polymorphs   0 meV per atom

```
CaTlF3
1.0
5.524 -3.196 0.000
5.524 3.196 0.000
3.676 0.000 5.217
F Tl Ca
6 2 2
direct
0.802 0.686 0.259
0.686 0.259 0.802
0.259 0.802 0.686
0.186 0.302 0.759
0.302 0.759 0.186
0.759 0.186 0.302
0.231 0.231 0.231
0.731 0.731 0.731
0.993 0.993 0.993
0.493 0.493 0.493
```

***

The following is a DFT calculation (PBE) of crystalline Zr6Ni20P13 at its relaxed geometry.

Output
Space-group type   No. 174
V   491.09 Å³ per cell
Theoretical density   7.2 Mg/m³
Total energy   -6.96 eV per atom

```
Zr6Ni20P13
1.0
6.244 -10.814 0.000
6.244 10.814 0.000
0.000 0.000 3.637
Zr P Ni
6 13 20
direct
0.282 0.473 0.000
0.527 0.809 0.000
0.191 0.718 0.000
0.809 0.283 0.500
0.474 0.191 0.500
0.717 0.526 0.500
0.287 0.053 0.000
0.860 0.474 0.000
0.715 0.947 0.500
0.053 0.768 0.500
0.766 0.713 0.000
0.000 0.000 0.000
0.526 0.386 0.000
0.947 0.234 0.000
0.473 0.613 0.500
0.140 0.527 0.500
0.387 0.860 0.500
0.232 0.285 0.500
0.614 0.140 0.000
0.333 0.667 0.500
0.418 0.979 0.000
0.324 0.245 0.000
0.160 0.079 0.500
0.755 0.079 0.000
0.667 0.333 0.000
0.072 0.323 0.500
0.585 0.021 0.500
0.921 0.676 0.000
0.094 0.895 0.000
0.436 0.415 0.500
0.921 0.082 0.500
0.979 0.564 0.500
0.677 0.748 0.500
0.918 0.840 0.500
0.561 0.582 0.000
0.252 0.928 0.500
0.801 0.906 0.000
0.105 0.199 0.000
0.021 0.439 0.000
```

***

The following is a DFT calculation (PBE) of crystalline Zn6Ni7Ge2 at its relaxed geometry.

Output
Space-group type   No. 227
V   381.40 Å³ per cell
Theoretical density   8.3 Mg/m³
Total energy   -4.05 eV per atom

```
Zn6Ni7Ge2
1.0
-5.549 1.295 5.813
-5.392 6.046 -0.794
-7.837 -1.694 -1.404
Zn Ge Ni
12 4 14
direct
0.125 0.125 0.625
0.874 0.874 0.379
0.874 0.874 0.874
0.379 0.874 0.874
0.874 0.379 0.874
0.625 0.125 0.125
0.376 0.376 0.871
0.376 0.376 0.376
0.871 0.376 0.376
0.125 0.625 0.125
0.125 0.125 0.125
0.376 0.871 0.376
0.625 0.625 0.125
0.625 0.125 0.625
0.625 0.625 0.625
0.125 0.625 0.625
0.999 0.999 0.501
0.251 0.749 0.749
0.000 0.000 0.000
0.999 0.501 0.999
0.250 0.250 0.250
0.501 0.999 0.999
0.749 0.749 0.251
0.251 0.251 0.749
0.999 0.501 0.501
0.251 0.749 0.251
0.749 0.251 0.749
0.501 0.999 0.501
0.501 0.501 0.999
0.749 0.251 0.251
```

***

The following is a DFT calculation (PBE) of crystalline NdTmMg2 at its relaxed geometry.

Output
Space-group type   No. 225
V   111.29 Å³ per cell
Theoretical density   5.4 Mg/m³
Total energy   -3.20 eV per atom

```
NdTmMg2
1.0
3.087 -4.395 -0.551
2.762 -1.907 4.230
-1.480 -4.646 2.318
Mg Tm Nd
2 1 1
direct
0.750 0.750 0.750
0.250 0.250 0.250
0.000 0.000 0.000
0.500 0.500 0.500
```

***

The following is a DFT calculation (PBE) of crystalline Bi3As at its relaxed geometry.

Output
Space-group type   No. 194
V   228.15 Å³ per cell
Theoretical density   10.2 Mg/m³
Total energy   -3.81 eV per atom

```
Bi3As
1.0
3.468 -6.007 0.000
3.468 6.007 0.000
0.000 0.000 5.477
Bi As
6 2
direct
0.356 0.178 0.750
0.178 0.356 0.250
0.822 0.644 0.750
0.822 0.178 0.750
0.178 0.822 0.250
0.644 0.822 0.250
0.333 0.667 0.750
0.667 0.333 0.250
```

***

The following is a DFT calculation (PBE) of crystalline Ba3U2As4O19 at its relaxed geometry.

Output
Space-group type   No. 15
V   932.15 Å³ per cell
Theoretical density   5.3 Mg/m³
Total energy   -7.28 eV per atom

```
Ba3U2As4O19
1.0
4.853 9.817 0.000
-4.853 9.817 0.000
0.000 1.060 9.783
O Ba U As
38 6 4 8
direct
0.030 0.778 0.864
0.379 0.163 0.448
0.411 0.324 0.206
0.163 0.519 0.467
0.325 0.675 0.750
0.669 0.479 0.028
0.481 0.837 0.033
0.589 0.676 0.794
0.837 0.481 0.533
0.824 0.210 0.507
0.700 0.873 0.872
0.331 0.521 0.972
0.970 0.222 0.136
0.630 0.117 0.690
0.676 0.589 0.294
0.163 0.379 0.948
0.210 0.824 0.007
0.176 0.790 0.493
0.127 0.300 0.628
0.790 0.176 0.993
0.898 0.604 0.736
0.102 0.396 0.264
0.778 0.030 0.364
0.324 0.411 0.706
0.621 0.837 0.552
0.604 0.898 0.236
0.479 0.669 0.528
0.222 0.970 0.636
0.873 0.700 0.372
0.519 0.163 0.967
0.521 0.331 0.472
0.396 0.102 0.764
0.837 0.621 0.052
0.883 0.370 0.810
0.370 0.883 0.310
0.117 0.630 0.190
0.300 0.127 0.128
0.675 0.325 0.250
0.381 0.619 0.250
0.177 0.088 0.895
0.088 0.177 0.395
0.912 0.823 0.605
0.619 0.381 0.750
0.823 0.912 0.105
0.287 0.351 0.077
0.713 0.649 0.923
0.649 0.713 0.423
0.351 0.287 0.577
0.208 0.708 0.906
0.708 0.208 0.406
0.938 0.442 0.675
0.062 0.558 0.325
0.442 0.938 0.175
0.558 0.062 0.825
0.292 0.792 0.594
0.792 0.292 0.094
```

***

The following is a DFT calculation (PBE) of crystalline Zr5CoSb3 at its relaxed geometry.

Output
Space-group type   No. 193
V   375.08 Å³ per cell
Theoretical density   7.8 Mg/m³
Total energy   -7.58 eV per atom

```
Zr5CoSb3
1.0
0.000 0.000 -5.790
-4.324 -7.490 0.000
-4.324 7.490 0.000
Zr Sb Co
10 6 2
direct
0.750 0.000 0.250
0.500 0.333 0.667
0.250 0.750 0.000
0.750 0.250 0.000
0.750 0.750 0.750
0.000 0.333 0.667
0.250 0.000 0.750
0.000 0.667 0.333
0.500 0.667 0.333
0.250 0.250 0.250
0.250 0.000 0.390
0.750 0.610 0.000
0.250 0.390 0.000
0.250 0.610 0.610
0.750 0.000 0.610
0.750 0.390 0.390
0.500 0.000 0.000
0.000 0.000 0.000
```

***

The following is a DFT calculation (PBE) of crystalline Mg2SiSe4 at its relaxed geometry.

Output
Space-group type   No. 62
V   673.95 Å³ per cell
Theoretical density   3.9 Mg/m³
Total energy   -4.14 eV per atom

```
Mg2SiSe4
1.0
6.295 0.000 0.000
0.000 7.926 0.000
0.000 0.000 13.508
Se Mg Si
16 8 4
direct
0.752 0.978 0.332
0.252 0.478 0.168
0.748 0.978 0.832
0.248 0.478 0.668
0.744 0.750 0.067
0.244 0.250 0.433
0.756 0.750 0.567
0.248 0.022 0.668
0.769 0.250 0.093
0.256 0.250 0.933
0.231 0.750 0.907
0.752 0.522 0.332
0.252 0.022 0.168
0.731 0.250 0.593
0.748 0.522 0.832
0.269 0.750 0.407
0.495 0.750 0.232
0.505 0.250 0.768
0.000 0.000 0.000
0.500 0.000 0.500
0.005 0.750 0.732
0.995 0.250 0.268
0.500 0.500 0.500
0.000 0.500 0.000
0.907 0.750 0.411
0.593 0.750 0.911
0.093 0.250 0.589
0.407 0.250 0.089
```

***

The following is a DFT calculation (PBE) of crystalline TeMo2SeS2 at its relaxed geometry.

Output
Space-group type   No. 156
V   369.49 Å³ per cell
Theoretical density   4.2 Mg/m³
Total energy   -6.72 eV per atom

```
TeMo2SeS2
1.0
1.654 -2.865 0.000
1.654 2.865 0.000
0.000 0.000 38.976
Mo S Se Te
4 4 2 2
direct
0.333 0.667 0.658
0.333 0.667 0.281
0.000 0.000 0.470
0.000 0.000 0.094
0.333 0.667 0.055
0.000 0.000 0.697
0.333 0.667 0.133
0.000 0.000 0.619
0.000 0.000 0.238
0.000 0.000 0.324
0.333 0.667 0.519
0.333 0.667 0.421
```

***

The following is a DFT calculation (PBE) of crystalline Mg6NbW at its relaxed geometry.

Output
V   315.69 Å³ per cell
Theoretical density   4.4 Mg/m³
Total energy   -3.73 eV per atom
Relative energy among the computed polymorphs   84 meV per atom

```
Mg6NbW
1.0
4.988 0.000 0.000
0.000 5.738 0.000
0.000 0.000 11.030
Mg Nb W
12 2 2
direct
0.000 0.500 0.821
0.500 0.250 0.923
0.000 0.754 0.586
0.000 0.246 0.586
0.000 0.254 0.086
0.000 0.746 0.086
0.000 0.500 0.316
0.000 0.000 0.816
0.500 0.750 0.423
0.500 0.750 0.923
0.000 0.000 0.321
0.500 0.250 0.423
0.500 0.000 0.173
0.500 0.500 0.673
0.500 0.000 0.672
0.500 0.500 0.172
```

***

The following is a DFT calculation (PBE) of crystalline Tm2Ge6Pt at its relaxed geometry.

Output
Space-group type   No. 38
V   181.34 Å³ per cell
Theoretical density   8.9 Mg/m³
Total energy   -5.25 eV per atom

```
Tm2Ge6Pt
1.0
-3.409 0.453 -2.158
-0.508 3.720 1.584
7.499 4.077 -7.170
Ge Tm Pt
6 2 1
direct
0.493 0.500 0.986
0.241 0.000 0.482
0.992 0.000 0.984
0.877 0.000 0.755
0.379 0.500 0.757
0.670 0.000 0.340
0.117 0.500 0.234
0.778 0.500 0.556
0.560 0.000 0.120
```

***

Please write out number 12 again, unchanged.
The following is a DFT calculation (PBE) of crystalline Tm2Ge6Pt at its relaxed geometry.

Output
Space-group type   No. 38
V   181.34 Å³ per cell
Theoretical density   8.9 Mg/m³
Total energy   -5.25 eV per atom

```
Tm2Ge6Pt
1.0
-3.409 0.453 -2.158
-0.508 3.720 1.584
7.499 4.077 -7.170
Ge Tm Pt
6 2 1
direct
0.493 0.500 0.986
0.241 0.000 0.482
0.992 0.000 0.984
0.877 0.000 0.755
0.379 0.500 0.757
0.670 0.000 0.340
0.117 0.500 0.234
0.778 0.500 0.556
0.560 0.000 0.120
```